1.
A plane-wave DFT calculation with PBE with a Hubbard U was carried out for a relaxed BaPrCo2O6 crystal.

Summary:
Formation enthalpy at 0 K = -2.19 eV/atom
SG = P4/mmm, No. 123

Unit cell a=3.9857 b=3.9857 c=7.6049 alpha=90.00 beta=90.00 gamma=90.00
Positions (direct):
O (0.0000, 0.5000, 0.2735)
Pr (0.0000, 0.0000, 0.5000)
Co (0.5000, 0.5000, 0.7465)
Co (0.5000, 0.5000, 0.2535)
O (0.0000, 0.5000, 0.7265)
O (0.5000, 0.5000, 0.5000)
O (0.5000, 0.5000, 0.0000)
Ba (0.0000, 0.0000, 0.0000)
O (0.5000, 0.0000, 0.2735)
O (0.5000, 0.0000, 0.7265)

2.
A plane-wave DFT calculation with PBE with a Hubbard U was carried out for a relaxed Li12Mn2Fe3O16 crystal.

Summary:
Formation enthalpy at 0 K = -1.91 eV/atom
SG = P1, No. 1

Unit cell a=5.8172 b=5.8586 c=9.7353 alpha=91.62 beta=89.72 gamma=118.89
Positions (direct):
O (0.5105, 0.5501, 0.1488)
Li (0.3150, 0.1467, 0.7709)
Li (0.2920, 0.6124, 0.7671)
O (0.3322, 0.6968, 0.3876)
Li (0.8498, 0.6957, 0.0409)
Li (0.6114, 0.7949, 0.5589)
Fe (0.1706, 0.8508, 0.2803)
O (0.4947, 0.0165, 0.6386)
Fe (0.8171, 0.6539, 0.7845)
O (0.8125, 0.1727, 0.4042)
Li (0.9884, 0.0167, 0.4872)
O (0.8234, 0.6763, 0.3995)
O (0.0391, 0.5536, 0.1498)
Li (0.1936, 0.4186, 0.5175)
O (0.6857, 0.3680, 0.8945)
O (0.3247, 0.1691, 0.4079)
Li (0.8461, 0.1846, 0.0230)
O (0.1872, 0.3639, 0.9213)
Li (0.3616, 0.1910, 0.0220)
O (0.4872, 0.4731, 0.6462)
Mn (0.3376, 0.6756, 0.0187)
Fe (0.6615, 0.8475, 0.2782)
Mn (0.6359, 0.3034, 0.5301)
O (0.9583, 0.9432, 0.6750)
O (0.6510, 0.8218, 0.9040)
Li (0.7932, 0.1395, 0.7685)
Li (0.1812, 0.3617, 0.2637)
O (0.9989, 0.0029, 0.1807)
Li (0.1601, 0.8038, 0.5596)
O (0.4967, 0.0013, 0.1484)
O (0.9516, 0.4736, 0.6454)
O (0.1704, 0.8185, 0.9025)
Li (0.6855, 0.3627, 0.2547)